SnO2, optimized geometry, DFT GGA-PBE; formation enthalpy at 0 K = -2.107 eV per atom; energy with MP2020 corrections = -6.74 eV/atom; uncorrected energy = -6.284 eV/atom
1.0
-3.249 3.414 3.414
3.249 -3.414 3.414
3.249 3.414 -3.414
Sn O
4 8
direct
0.000 0.000 0.500
0.000 0.500 0.000
0.496 0.246 0.250
0.504 0.754 0.750
0.189 0.246 0.944
0.198 0.754 0.444
0.306 0.309 0.503
0.306 0.804 0.997
0.694 0.196 0.003
0.694 0.691 0.497
0.802 0.246 0.556
0.811 0.754 0.056